Below is an optimized crystal structure of H4Os3C10O9, with properties calculated at the PBE-GGA level.

For the total energy, the calculation gives -790.50 eV for the cell shown. The volume comes out at 15.09 A^3/atom. For the energy relative to the elements, the calculation gives -759.1 meV/atom.

The structure in CIF format:
```
data_H4Os3C10O9
_cell_length_a 9.383
_cell_length_b 11.600
_cell_length_c 15.624
_cell_angle_alpha 68.70
_cell_angle_beta 84.34
_cell_angle_gamma 82.63
_space_group_name_H-M_alt 'P -1'
_space_group_IT_number 2
_space_group_name_Hall '-P 1'
loop_
_atom_site_label
_atom_site_fract_x
_atom_site_fract_y
_atom_site_fract_z
_atom_site_occupancy
H1 0.019 0.150 0.195 1
H2 0.077 0.909 0.003 1
H3 0.172 0.998 0.759 1
H4 0.237 0.772 0.838 1
H5 0.344 0.382 0.287 1
H6 0.397 0.678 0.678 1
H7 0.414 0.208 0.431 1
H8 0.431 0.507 0.454 1
Os1 0.012 0.998 0.185 1
Os2 0.067 0.736 0.908 1
Os3 0.273 0.340 0.407 1
Os4 0.289 0.911 0.854 1
Os5 0.422 0.728 0.552 1
Os6 0.495 0.475 0.279 1
C1 0.003 0.160 0.824 1
C2 0.061 0.625 0.839 1
C3 0.071 0.932 0.312 1
C4 0.094 0.896 0.937 1
C5 0.112 0.301 0.024 1
C6 0.137 0.483 0.379 1
C7 0.157 0.234 0.376 1
C8 0.164 0.618 0.010 1
C9 0.203 0.003 0.130 1
C10 0.208 0.280 0.534 1
C11 0.251 0.663 0.543 1
C12 0.326 0.886 0.556 1
C13 0.340 0.060 0.863 1
C14 0.345 0.437 0.724 1
C15 0.378 0.628 0.232 1
C16 0.403 0.811 0.955 1
C17 0.439 0.439 0.419 1
C18 0.440 0.909 0.759 1
C19 0.457 0.780 0.422 1
C20 0.465 0.545 0.840 1
O1 0.014 0.253 0.833 1
O2 0.056 0.562 0.797 1
O3 0.060 0.575 0.361 1
O4 0.082 0.173 0.359 1
O5 0.108 0.891 0.387 1
O6 0.148 0.622 0.537 1
O7 0.174 0.241 0.612 1
O8 0.218 0.326 0.979 1
O9 0.220 0.548 0.075 1
O10 0.250 0.385 0.721 1
O11 0.266 0.980 0.558 1
O12 0.306 0.722 0.205 1
O13 0.318 0.011 0.095 1
O14 0.369 0.151 0.869 1
O15 0.443 0.557 0.911 1
O16 0.465 0.093 0.294 1
O17 0.468 0.749 0.018 1
O18 0.478 0.807 0.343 1
```